# 1
NaV4Cu3O12: relaxed, GGA+U.

Properties
Magnetization ... 1.05 μB/f.u.
ΔE_f ... -1.9163 eV per atom
Space-group type ... Im-3, No. 204

```
NaV4Cu3O12
1.0
-3.6702 3.6702 3.6702
3.6702 -3.6702 3.6702
3.6702 3.6702 -3.6702
Na V Cu O
1 4 3 12
direct
0.0000 0.0000 0.0000
0.0000 0.0000 0.5000
0.0000 0.5000 0.0000
0.5000 0.0000 0.0000
0.5000 0.5000 0.5000
0.0000 0.5000 0.5000
0.5000 0.0000 0.5000
0.5000 0.5000 0.0000
0.1207 0.8160 0.3047
0.1840 0.3047 0.4887
0.1840 0.6953 0.8793
0.3047 0.1207 0.8160
0.3047 0.4887 0.1840
0.4887 0.1840 0.3047
0.5113 0.8160 0.6953
0.6953 0.5113 0.8160
0.6953 0.8793 0.1840
0.8160 0.3047 0.1207
0.8160 0.6953 0.5113
0.8793 0.1840 0.6953
```

---

# 2
Nd4CuNiO8: relaxed, GGA+U.

Properties
Magnetization ... 1.98 μB/f.u.
ΔE_f ... -2.9063 eV per atom
Space-group type ... Amm2, No. 38

```
Nd4CuNiO8
1.0
12.6363 0.0000 0.0000
0.0000 2.6924 2.7233
0.0000 -2.6924 2.7233
Nd Cu Ni O
4 1 1 8
direct
0.1339 0.0000 0.0000
0.3608 0.4912 0.4912
0.6392 0.4912 0.4912
0.8661 0.0000 0.0000
0.5000 0.9999 0.9999
0.0000 0.5086 0.5086
0.0000 0.0088 0.4968
0.0000 0.4968 0.0088
0.1772 0.5371 0.5371
0.3128 0.0499 0.0499
0.5000 0.5014 0.9934
0.5000 0.9934 0.5014
0.6872 0.0499 0.0499
0.8228 0.5371 0.5371
```

---

# 3
Sr5Nd5CuNi4O20: relaxed, GGA+U.

Properties
Magnetization ... 5.34 μB/f.u.
ΔE_f ... -2.4639 eV per atom
Space-group type ... P1, No. 1

```
Sr5Nd5CuNi4O20
1.0
3.8414 0.0000 0.0000
1.8819 6.5818 0.0000
1.7889 1.4656 18.7038
Sr Nd Cu Ni O
5 5 1 4 20
direct
0.0000 0.0000 0.0000
0.0235 0.7802 0.1895
0.2075 0.1068 0.3620
0.2505 0.9085 0.5543
0.9766 0.2121 0.8061
0.2557 0.7153 0.7475
0.2679 0.5083 0.9417
0.3022 0.2859 0.1373
0.9585 0.6073 0.4193
0.9733 0.4064 0.6119
0.6166 0.4513 0.2801
0.6075 0.2561 0.4819
0.6128 0.0633 0.6797
0.6207 0.8606 0.8755
0.6472 0.6397 0.0742
0.0980 0.2756 0.4837
0.1116 0.4571 0.2835
0.1133 0.0625 0.6795
0.1301 0.8432 0.8725
0.1600 0.6182 0.0688
0.4411 0.3856 0.7041
0.4468 0.5660 0.5102
0.4493 0.1715 0.9118
0.4765 0.9485 0.1077
0.5797 0.4101 0.3800
0.6015 0.1763 0.5841
0.6205 0.9549 0.7760
0.6488 0.0719 0.2537
0.6494 0.7229 0.9704
0.6603 0.5033 0.1797
0.7783 0.5591 0.8410
0.7793 0.9429 0.4546
0.7871 0.7388 0.6533
0.7985 0.9002 0.3075
0.8157 0.3252 0.0541
```

---

# 4
Cu2NiO4: relaxed, GGA+U.

Properties
Magnetization ... 2.00 μB/f.u.
ΔE_f ... -0.9095 eV per atom
E above lowest polymorph ... 7 meV per atom
Space-group type ... I4_1/a, No. 88

```
Cu2NiO4
1.0
-2.6616 2.6616 4.9321
2.6616 -2.6616 4.9321
2.6616 2.6616 -4.9321
Cu Ni O
4 2 8
direct
0.0000 0.0000 0.0000
0.5000 0.0000 0.0000
0.5000 0.0000 0.5000
0.5000 0.5000 0.5000
0.1250 0.3750 0.7500
0.8750 0.6250 0.2500
0.1109 0.9739 0.7677
0.1569 0.3891 0.3630
0.2938 0.6569 0.2677
0.4739 0.2062 0.8630
0.5261 0.7938 0.1370
0.7062 0.3431 0.7323
0.8431 0.6109 0.6370
0.8891 0.0261 0.2323
```

---

# 5
Cu2Ni11O13: relaxed, GGA+U.

Properties
Magnetization ... 5.01 μB/f.u.
ΔE_f ... -1.0302 eV per atom
Space-group type ... Immm, No. 71

```
Cu2Ni11O13
1.0
-1.4902 2.0997 19.3598
1.4902 -2.0997 19.3598
1.4902 2.0997 -19.3598
Cu Ni O
2 11 13
direct
0.0391 0.0391 0.0000
0.9609 0.9609 0.0000
0.1164 0.1164 0.0000
0.1926 0.1926 0.0000
0.2692 0.2692 0.0000
0.3462 0.3462 0.0000
0.4227 0.4227 0.0000
0.5000 0.5000 0.0000
0.5773 0.5773 0.0000
0.6538 0.6538 0.0000
0.7308 0.7308 0.0000
0.8074 0.8074 0.0000
0.8836 0.8836 0.0000
0.0000 0.5000 0.5000
0.0787 0.5787 0.5000
0.1543 0.6543 0.5000
0.2310 0.7310 0.5000
0.3078 0.8078 0.5000
0.3845 0.8845 0.5000
0.4616 0.9616 0.5000
0.5384 0.0384 0.5000
0.6155 0.1155 0.5000
0.6922 0.1922 0.5000
0.7690 0.2690 0.5000
0.8457 0.3457 0.5000
0.9213 0.4213 0.5000
```

---

# 6
CuNiO2: relaxed, GGA+U.

Properties
Magnetization ... 1.00 μB/f.u.
ΔE_f ... -1.0137 eV per atom
Space-group type ... C2/m, No. 12

```
CuNiO2
1.0
5.4928 0.0000 0.0000
0.0000 2.8647 0.0000
-2.7249 0.0000 5.0028
Cu Ni O
2 2 4
direct
0.0000 0.0000 0.0000
0.5000 0.5000 0.0000
0.0000 0.0000 0.5000
0.5000 0.5000 0.5000
0.0709 0.5000 0.2687
0.4291 0.0000 0.7313
0.5709 0.0000 0.2687
0.9291 0.5000 0.7313
```

---

# 7
CuNi9O10: relaxed, GGA+U.

Properties
Magnetization ... 17.00 μB/f.u.
ΔE_f ... -1.1256 eV per atom
Space-group type ... P-1, No. 2

```
CuNi9O10
1.0
5.1477 0.0000 0.0000
-1.6441 5.7257 0.0000
-0.8805 -1.7648 6.3459
Cu Ni O
1 9 10
direct
0.0000 0.0000 0.0000
0.0000 0.5000 0.0000
0.2001 0.8998 0.3998
0.2009 0.4005 0.3993
0.3974 0.2972 0.8005
0.4006 0.7979 0.7997
0.5994 0.2021 0.2003
0.6026 0.7028 0.1995
0.7991 0.5995 0.6007
0.7999 0.1002 0.6002
0.0984 0.4492 0.6996
0.1023 0.9501 0.6978
0.2956 0.8534 0.0985
0.3133 0.3674 0.1057
0.4994 0.2485 0.4989
0.5006 0.7515 0.5011
0.6867 0.6326 0.8943
0.7044 0.1466 0.9015
0.8977 0.0499 0.3022
0.9016 0.5508 0.3004
```

---

# 8
CuNiO2: relaxed, GGA+U.

Properties
Magnetization ... 1.00 μB/f.u.
ΔE_f ... -0.9488 eV per atom
Space-group type ... C2/m, No. 12

```
CuNiO2
1.0
5.1163 0.0000 0.0000
0.0000 3.0425 0.0000
-1.3205 0.0000 4.9221
Cu Ni O
2 2 4
direct
0.0000 0.0000 0.0000
0.5000 0.5000 0.0000
0.0000 0.5000 0.5000
0.5000 0.0000 0.5000
0.2250 0.0000 0.7392
0.2750 0.5000 0.2608
0.7250 0.5000 0.7392
0.7750 0.0000 0.2608
```

---

# 9
Cu2NiO4: relaxed, GGA+U.

Properties
Magnetization ... 2.00 μB/f.u.
ΔE_f ... -0.9165 eV per atom
E above lowest polymorph ... 0 meV per atom
Space-group type ... C2/c, No. 15

```
Cu2NiO4
1.0
3.7335 -4.8397 0.0000
3.7335 4.8397 0.0000
-3.6759 0.0000 3.8912
Cu Ni O
4 2 8
direct
0.0000 0.0000 0.0000
0.0000 0.0000 0.5000
0.0000 0.5000 0.0000
0.5000 0.0000 0.5000
0.4169 0.5831 0.7500
0.5831 0.4169 0.2500
0.0137 0.3403 0.6335
0.2201 0.3834 0.2229
0.3403 0.0137 0.1335
0.3834 0.2201 0.7229
0.6166 0.7799 0.2771
0.6597 0.9863 0.8665
0.7799 0.6166 0.7771
0.9863 0.6597 0.3665
```

---

# 10
CuNiO2: relaxed, GGA+U.

Properties
Magnetization ... 1.00 μB/f.u.
ΔE_f ... -0.9354 eV per atom
Space-group type ... R-3m, No. 166

```
CuNiO2
1.0
2.9859 0.0000 0.0000
-1.4929 2.5859 0.0000
0.0000 0.0000 14.6473
Cu Ni O
3 3 6
direct
0.0000 0.0000 0.0000
0.3333 0.6667 0.6667
0.6667 0.3333 0.3333
0.0000 0.0000 0.5000
0.3333 0.6667 0.1667
0.6667 0.3333 0.8333
0.0000 0.0000 0.2467
0.0000 0.0000 0.7533
0.3333 0.6667 0.4199
0.3333 0.6667 0.9134
0.6667 0.3333 0.0866
0.6667 0.3333 0.5801
```

---

# 11
CuNi3O4: relaxed, GGA+U.

Properties
Magnetization ... 4.98 μB/f.u.
ΔE_f ... -1.0542 eV per atom
E above lowest polymorph ... 31 meV per atom
Space-group type ... R-3m, No. 166

```
CuNi3O4
1.0
1.4936 0.8623 9.7842
-1.4936 0.8623 9.7842
0.0000 -1.7247 9.7842
Cu Ni O
1 3 4
direct
0.0000 0.0000 0.0000
0.2501 0.2501 0.2501
0.5000 0.5000 0.5000
0.7499 0.7499 0.7499
0.1251 0.1251 0.1251
0.3764 0.3764 0.3764
0.6236 0.6236 0.6236
0.8749 0.8749 0.8749
```

---

# 12
CuNi3O4: relaxed, GGA+U.

Properties
Magnetization ... 0.00 μB/f.u.
ΔE_f ... -1.0848 eV per atom
E above lowest polymorph ... 0 meV per atom

```
CuNi3O4
1.0
-4.6974 1.3304 -3.2465
3.4980 2.1923 -4.1629
-0.3959 -2.2289 -5.6349
O Ni Cu
8 6 2
direct
0.2725 0.7726 0.4550
0.7503 0.2634 0.0000
0.7275 0.2274 0.5450
0.2497 0.7366 0.0000
0.2277 0.2278 0.5446
0.2498 0.2634 0.0000
0.7723 0.7722 0.4554
0.7502 0.7366 0.0000
0.5000 0.0000 0.5000
0.0000 0.0000 0.0000
0.5000 0.5000 0.5000
0.0000 0.5000 0.5000
0.0000 0.0000 0.5000
0.5000 0.0000 0.0000
0.0000 0.5000 0.0000
0.5000 0.5000 0.0000
```